No. 1
Density functional theory data (PBE+U) for crystalline LiW3O9F at its relaxed geometry.

Calculated values
Electronic total energy, eV/atom: -7.11
E (MP2020), eV/atom: -8.5361
Space-group type: No. 9
Energy relative to the elements, meV/atom: -2305

abc: 7.4919 7.4919 8.5347
angles: 77.41 77.41 120.01
Closest atoms and distances in Å follow each position.
Element x y z (fractional)
O  0.5076  0.5442  0.0007  2 W 1.91-1.96
O  0.5072  0.1856  0.0016  2 W 1.91-1.97
O  0.1756  0.1339  0.5095  2 W 1.94-1.99
F  0.8490  0.1012  0.7584  1 Li 1.94, 1 W 2.02
Li  0.8039  0.0547  0.0001  1 F 1.94, 1 O 1.95
O  0.3407  0.0917  0.7565  1 W 1.83
O  0.7536  0.2897  0.5111  2 W 1.92-1.95
O  0.8581  0.6092  0.7427  1 W 1.76, 1 Li 1.95
W  0.2270  0.9782  0.9953  5 O 1.83-1.95, 1 F 2.02
O  0.5442  0.5076  0.5007  2 W 1.91-1.96
W  0.7400  0.4896  0.9725  5 O 1.76-1.97
O  0.1339  0.1756  0.0095  2 W 1.94-1.99
W  0.4834  0.2327  0.4873  5 O 1.81-1.99
O  0.0917  0.3407  0.2565  1 W 1.83
O  0.9295  0.3876  0.0020  2 W 1.95-1.97, 1 Li 2.19
O  0.3432  0.5952  0.7519  1 W 1.81
O  0.3876  0.9295  0.5020  2 W 1.95-1.97, 1 Li 2.19
W  0.2327  0.4834  0.9873  5 O 1.81-1.99
F  0.1012  0.8490  0.2584  1 Li 1.94, 1 W 2.02
O  0.7540  0.9316  0.5105  2 W 1.93-1.95
W  0.9782  0.2270  0.4953  5 O 1.83-1.95, 1 F 2.02
O  0.2897  0.7536  0.0111  2 W 1.92-1.95
O  0.9316  0.7540  0.0105  2 W 1.93-1.95
O  0.6092  0.8581  0.2427  1 W 1.76, 1 Li 1.95
O  0.1856  0.5072  0.5016  2 W 1.91-1.97
Li  0.0547  0.8039  0.5001  1 F 1.94, 1 O 1.95
O  0.5952  0.3432  0.2519  1 W 1.81
W  0.4896  0.7400  0.4725  5 O 1.76-1.97

***

No. 2
Density functional theory data (PBE+U) for crystalline Li4FeSi2O7 at its relaxed geometry.

Calculated values
Electronic total energy, eV/atom: -6.58
E (MP2020), eV/atom: -7.0807
Energy relative to the elements, meV/atom: -2681
E above lowest polymorph, meV per atom: 8.6

abc: 4.5569 17.2247 7.9542
angles: 96.49 106.64 82.39
Closest atoms and distances in Å follow each position.
Element x y z (fractional)
Li  0.1130  0.8196  0.0330  4 O 1.94-2.08
Li  0.4515  0.2848  0.1521  3 O 1.94-1.98
Li  0.0840  0.2153  0.3478  3 O 1.94-1.98
O  0.9547  0.7187  0.0524  1 Si 1.65
O  0.0149  0.1554  0.7311  1 Si 1.64
Li  0.8994  0.1805  0.9669  4 O 1.94-2.07
O  0.5603  0.0620  0.5947  1 Si 1.62
O  0.9392  0.3445  0.7691  1 Si 1.64
Fe  0.7512  0.7500  0.2499  4 O 2.03-2.04
O  0.3070  0.6251  0.8750  2 Si 1.72
O  0.3703  0.0313  0.1975  1 Si 1.65
O  0.0603  0.5620  0.0947  1 Si 1.62
Si  0.4551  0.8896  0.8195  4 O 1.62-1.72
Si  0.2052  0.6395  0.0695  4 O 1.62-1.72
O  0.6203  0.2813  0.9474  1 Si 1.65
Li  0.6494  0.9305  0.2169  4 O 1.94-2.07
Si  0.9551  0.3896  0.3195  4 O 1.62-1.72
Li  0.3341  0.4653  0.0979  3 O 1.94-1.98
O  0.8070  0.1251  0.3751  2 Si 1.72
O  0.8103  0.3119  0.3448  1 Si 1.62
Li  0.7015  0.5347  0.9022  3 O 1.94-1.98
Li  0.9514  0.7848  0.6522  3 O 1.94-1.98
Si  0.0247  0.6104  0.6806  4 O 1.62-1.72
O  0.0268  0.9381  0.4053  1 Si 1.62
O  0.5570  0.8751  0.6251  2 Si 1.72
Li  0.3994  0.6805  0.4669  4 O 1.94-2.07
Fe  0.0012  0.0000  0.9999  4 O 2.03-2.04
Si  0.5248  0.1105  0.1806  4 O 1.62-1.72
Si  0.7748  0.3605  0.9306  4 O 1.62-1.72
O  0.2047  0.9686  0.8024  1 Si 1.65
Li  0.6130  0.3196  0.5330  4 O 1.94-2.08
O  0.3103  0.8119  0.8447  1 Si 1.62
Fe  0.2508  0.2499  0.7498  4 O 2.03-2.04
Si  0.7052  0.1396  0.5695  4 O 1.62-1.72
Fe  0.5005  0.5000  0.4999  4 O 2.03-2.04
O  0.7047  0.4686  0.3025  1 Si 1.65
O  0.2650  0.4055  0.4811  1 Si 1.64
O  0.8703  0.5313  0.6972  1 Si 1.65
O  0.7769  0.6881  0.6553  1 Si 1.62
O  0.4391  0.8445  0.2691  1 Si 1.64
O  0.2768  0.1881  0.1553  1 Si 1.62
Li  0.8340  0.9653  0.5978  3 O 1.94-1.98
Li  0.3631  0.0695  0.7830  4 O 1.94-2.08
Si  0.2748  0.8605  0.4306  4 O 1.62-1.72
Li  0.1496  0.4305  0.7169  4 O 1.94-2.07
O  0.0570  0.3751  0.1251  2 Si 1.72
Li  0.2014  0.0348  0.4022  3 O 1.94-1.98
Li  0.5840  0.7153  0.8478  3 O 1.94-1.98
O  0.4547  0.2186  0.5524  1 Si 1.65
Li  0.8628  0.5695  0.2830  4 O 1.94-2.08
O  0.5149  0.6554  0.2311  1 Si 1.64
O  0.6891  0.0945  0.0191  1 Si 1.64
O  0.7649  0.9054  0.9811  1 Si 1.64
O  0.1204  0.7813  0.4475  1 Si 1.65
O  0.1892  0.5945  0.5191  1 Si 1.64
O  0.5269  0.4381  0.9053  1 Si 1.62

***

No. 3
Density functional theory data (PBE+U) for crystalline MgMn2Tl2O6 at its relaxed geometry.

Calculated values
Electronic total energy, eV/atom: -6.05
E (MP2020), eV/atom: -6.7300
Space-group type: No. 148
Energy relative to the elements, meV/atom: -1790
E above lowest polymorph, meV per atom: 0.0

abc: 5.1176 7.9155 5.1178
angles: 108.81 120.00 90.01
Closest atoms and distances in Å follow each position.
Element x y z (fractional)
O  0.3056  0.8604  0.2586  2 Mn 1.95, 1 Mg 2.07
Mn  0.6668  0.0003  0.3336  6 O 1.95
O  0.6019  0.8604  0.9076  2 Mn 1.95, 1 Mg 2.07
O  0.3981  0.1396  0.0924  2 Mn 1.95, 1 Mg 2.07
Mg  0.0000  0.0000  0.0000  6 O 2.07
Tl  0.1315  0.3944  0.2629  3 O 2.60, 1 Mg 2.90
O  0.0471  0.1396  0.4451  2 Mn 1.95, 1 Mg 2.07
O  0.9529  0.8604  0.5549  2 Mn 1.95, 1 Mg 2.07
O  0.6944  0.1396  0.7414  2 Mn 1.95, 1 Mg 2.07
Mn  0.3332  0.9997  0.6664  6 O 1.95
Tl  0.8685  0.6056  0.7371  3 O 2.60, 1 Mg 2.90

***

No. 4
Density functional theory data (PBE+U) for crystalline Li4Fe2Ni3SnP6O24 at its relaxed geometry.

Calculated values
Electronic total energy, eV/atom: -6.53
E (MP2020), eV/atom: -7.2489
Space-group type: No. 1
Energy relative to the elements, meV/atom: -2320

abc: 8.4663 8.6034 8.6061
angles: 62.38 62.76 62.84
Closest atoms and distances in Å follow each position.
Element x y z (fractional)
O  0.8986  0.0825  0.2492  1 P 1.64
O  0.7507  0.5725  0.4040  1 P 1.54
O  0.7493  0.0995  0.9244  1 P 1.54
O  0.6896  0.8924  0.4854  1 P 1.51
Fe  0.9850  0.9994  0.9960  3 O 2.04-2.16
O  0.1891  0.9815  0.3978  1 P 1.56
O  0.5253  0.3119  0.1062  1 P 1.54
O  0.9788  0.3948  0.1938  1 P 1.58
O  0.4018  0.7521  0.5739  1 P 1.55
O  0.4512  0.6946  0.8963  1 P 1.53
O  0.5927  0.2420  0.4379  1 P 1.60
O  0.3159  0.1048  0.5226  1 P 1.53
O  0.2503  0.4332  0.5919  1 P 1.59
O  0.5503  0.4157  0.7646  1 P 1.55
Ni  0.8575  0.8530  0.8515  6 O 2.00-2.16
P  0.9438  0.5572  0.2556  4 O 1.54-1.58
O  0.6063  0.8160  0.9920  1 P 1.50
O  0.2418  0.9019  0.0855  1 P 1.63
O  0.8259  0.0118  0.6028  1 P 1.51
Li  0.7012  0.3588  0.1581  2 O 1.98-2.06
P  0.5598  0.2528  0.9465  4 O 1.54-1.57
Ni  0.6441  0.6479  0.6457  6 O 2.01-2.14
P  0.2541  0.9463  0.5578  4 O 1.53-1.56
O  0.4363  0.5910  0.2382  1 P 1.59
O  0.1019  0.5166  0.3243  1 P 1.54
Sn  0.1470  0.1484  0.1526  6 O 2.01-2.15
Ni  0.3538  0.3493  0.3523  6 O 2.00-2.17
O  0.0465  0.5988  0.8204  1 P 1.52
O  0.0810  0.2529  0.9030  1 P 1.63
Fe  0.5125  0.5019  0.4970  6 O 2.07-2.29
O  0.1015  0.9232  0.7505  1 P 1.56
O  0.8893  0.5037  0.7001  1 P 1.50
P  0.0557  0.4588  0.7524  4 O 1.50-1.63
Li  0.2549  0.6471  0.8505  4 O 2.09-2.13
P  0.4474  0.7494  0.0436  4 O 1.50-1.63
P  0.7498  0.0454  0.4587  4 O 1.51-1.64
O  0.3989  0.1809  0.9885  1 P 1.57
O  0.9465  0.7377  0.0884  1 P 1.55
Li  0.3626  0.1525  0.7011  2 O 1.99-2.06
Li  0.1518  0.6970  0.3621  2 O 1.97-2.08